No. 1
A relaxed PuTe crystal. Source: Materials Project, functional r²SCAN.

Unit cell a=4.453 b=4.453 c=4.453 alpha=60.00 beta=60.00 gamma=60.00
Positions (direct):
Pu: 0.000 0.000 0.000
Te: 0.500 0.500 0.500

---

No. 2
A relaxed PuTe2 crystal. Source: Materials Project, functional r²SCAN.

Unit cell a=4.474 b=4.474 c=9.049 alpha=90.00 beta=90.00 gamma=90.00
Positions (direct):
Pu: 0.250 0.250 0.225
Pu: 0.750 0.750 0.775
Te: 0.250 0.250 0.864
Te: 0.250 0.750 0.500
Te: 0.750 0.250 0.500
Te: 0.750 0.750 0.136

---

No. 3
A relaxed Pu2Zn17 crystal. Source: Materials Project, functional r²SCAN.

Unit cell a=6.736 b=6.736 c=6.731 alpha=97.26 beta=97.26 gamma=82.66
Positions (direct):
Pu: 0.163 0.163 0.336
Pu: 0.837 0.837 0.664
Zn: 0.000 0.500 0.000
Zn: 0.150 0.150 0.840
Zn: 0.150 0.660 0.350
Zn: 0.206 0.500 0.706
Zn: 0.207 0.793 0.000
Zn: 0.340 0.850 0.650
Zn: 0.400 0.400 0.099
Zn: 0.500 0.000 0.000
Zn: 0.500 0.206 0.706
Zn: 0.500 0.500 0.500
Zn: 0.500 0.794 0.294
Zn: 0.600 0.600 0.901
Zn: 0.660 0.150 0.350
Zn: 0.793 0.207 0.000
Zn: 0.794 0.500 0.294
Zn: 0.850 0.340 0.650
Zn: 0.850 0.850 0.160

---

No. 4
A relaxed Rb crystal. Source: Materials Project, functional r²SCAN.

Unit cell a=13.023 b=13.023 c=13.023 alpha=22.47 beta=22.47 gamma=22.47
Positions (direct):
Rb: 0.000 0.000 0.000
Rb: 0.222 0.222 0.222
Rb: 0.778 0.778 0.778

Summary:
Distance to the lowest polymorph of the same formula, eV/atom: 0.0106

---

No. 5
A relaxed Rb crystal. Source: Materials Project, functional r²SCAN.

Unit cell a=4.985 b=5.140 c=8.798 alpha=82.68 beta=75.49 gamma=61.03
Positions (direct):
Rb: 0.133 0.239 0.250
Rb: 0.867 0.761 0.750

Summary:
Distance to the lowest polymorph of the same formula, eV/atom: 0.0144

---

No. 6
A relaxed Rb crystal. Source: Materials Project, functional r²SCAN.

Unit cell a=9.128 b=9.128 c=9.128 alpha=90.00 beta=90.00 gamma=90.00
Positions (direct):
Rb: 0.000 0.000 0.000
Rb: 0.000 0.250 0.500
Rb: 0.000 0.750 0.500
Rb: 0.250 0.500 0.000
Rb: 0.500 0.000 0.250
Rb: 0.500 0.000 0.750
Rb: 0.500 0.500 0.500
Rb: 0.750 0.500 0.000

Summary:
Distance to the lowest polymorph of the same formula, eV/atom: 0.0183

---

The calculation returns the following E_tot values, one per record and in order: -114.7, -141.0, -328.4, -13.9, -13.9, -13.9 eV/f.u..